Density functional theory data (PBE+U) for a relaxed Li3Co2O5 crystal.

a b c (Å): 2.944 6.525 9.830
angles (deg): 78.64 86.71 77.18
Fractional positions:
1 Co 0.096 0.313 0.307
2 Co 0.294 0.899 0.898
3 Co 0.904 0.687 0.693
4 Co 0.706 0.101 0.102
5 O 0.141 0.189 0.960
6 O 0.743 0.980 0.755
7 O 0.960 0.576 0.344
8 O 0.859 0.811 0.040
9 O 0.538 0.385 0.162
10 O 0.326 0.794 0.564
11 O 0.462 0.615 0.838
12 O 0.040 0.424 0.656
13 O 0.674 0.206 0.436
14 O 0.257 0.020 0.245
15 Li 0.000 0.500 0.000
16 Li 0.500 0.500 0.500
17 Li 0.805 0.892 0.402
18 Li 0.413 0.693 0.203
19 Li 0.587 0.307 0.797
20 Li 0.195 0.108 0.598

Distance to the lowest polymorph of the same formula   68 meV per atom
Space group   P-1 (2)
Total magnetization   1.000 μB per formula unit

=====

Density functional theory data (PBE+U) for a relaxed MgCr2O4 crystal.

a b c (Å): 5.992 5.992 5.994
angles (deg): 59.99 59.99 89.97
Fractional positions:
1 Mg 0.125 0.875 0.250
2 Mg 0.875 0.125 0.750
3 O 0.740 0.261 0.478
4 O 0.739 0.718 0.022
5 O 0.261 0.282 0.978
6 O 0.261 0.740 0.978
7 O 0.718 0.739 0.522
8 O 0.739 0.260 0.022
9 O 0.260 0.739 0.522
10 O 0.282 0.261 0.478
11 Cr 0.500 0.000 0.500
12 Cr 0.500 0.500 0.500
13 Cr 0.500 0.500 0.000
14 Cr 0.000 0.500 0.000

Distance to the lowest polymorph of the same formula   0 meV per atom
Space group   Fd-3m (227)

=====

The lowest distance to the lowest polymorph of the same formula belongs to which entry? MgCr2O4

=====

The lowest distance to the lowest polymorph of the same formula belongs to which entry? MgCr2O4